Cs3TbF6 | meta-GGA r2SCAN | relaxed

Properties
- total energy (eV/atom) = -16.0394
- E_form (eV/atom) = -3.509
- SG = Fm-3m, No. 225

Geometry as extended XYZ:
```
10
Lattice="-6.160 2.491 2.296 -5.193 -4.442 1.651 -1.865 -0.886 6.721" Properties=species:S:1:pos:R:3 pbc="T T T"
Cs -6.609 -1.418 5.334
Cs -9.913 -2.128 8.001
Cs -3.304 -0.709 2.667
Tb 0.000 0.000 0.000
F -6.861 -3.616 7.041
F -3.942 -1.119 6.113
F -5.813 -3.118 3.264
F -6.357 0.779 3.627
F -9.275 -1.718 4.555
F -7.405 0.281 7.404
```

=====

LaAgSb2 | meta-GGA r2SCAN | relaxed

Properties
- total energy (eV/atom) = -26.4783
- E_form (eV/atom) = -0.850
- SG = P4/nmm, No. 129

Geometry as extended XYZ:
```
8
Lattice="-0.912 0.039 -4.308 -1.182 -4.236 0.212 -10.411 3.017 2.232" Properties=species:S:1:pos:R:3 pbc="T T T"
La -4.309 -2.355 -2.485
La -8.197 1.174 0.621
Ag -0.980 -1.030 -3.178
Ag -1.115 -3.168 -0.918
Sb -10.247 -0.634 -1.212
Sb -2.259 -0.547 -0.652
Sb -6.185 0.478 -2.062
Sb -6.320 -1.659 0.198
```

=====

La2Se2O | meta-GGA r2SCAN | relaxed

Properties
- total energy (eV/atom) = -21.7141
- E_form (eV/atom) = -2.897
- SG = P2_1/c, No. 14

Geometry as extended XYZ:
```
20
Lattice="7.484 0.000 0.000 0.000 7.453 -0.014 0.000 1.521 8.869" Properties=species:S:1:pos:R:3 pbc="T T T"
La 3.349 2.042 1.266
La 0.393 5.768 1.259
La 6.396 3.058 3.761
La 4.831 6.785 3.754
La 2.653 2.189 5.101
La 1.089 5.915 5.095
La 7.091 3.205 7.596
La 4.135 6.931 7.589
Se 5.808 3.635 0.692
Se 5.419 7.361 0.685
Se 0.996 0.964 2.858
Se 2.746 4.691 2.851
Se 4.739 4.283 6.004
Se 6.488 8.009 5.997
Se 2.065 1.612 8.170
Se 1.677 5.339 8.163
O 4.368 1.693 3.417
O 6.859 5.419 3.410
O 0.626 3.554 5.445
O 3.117 7.281 5.438
```

=====

YAl2Co | meta-GGA r2SCAN | relaxed

Properties
- total energy (eV/atom) = -12.2616
- E_form (eV/atom) = -0.509
- SG = Cmcm, No. 63

Geometry as extended XYZ:
```
8
Lattice="-2.656 1.818 2.380 1.987 -4.522 2.306 5.114 3.712 2.871" Properties=species:S:1:pos:R:3 pbc="T T T"
Y 3.912 2.365 2.558
Y 0.533 -1.357 4.999
Al 5.267 1.081 5.052
Al -0.821 -0.073 2.506
Al 1.158 1.363 3.617
Al 3.288 -0.355 3.941
Co 2.883 1.635 5.335
Co 1.562 -0.627 2.223
```

=====

MgCd3 | meta-GGA r2SCAN | relaxed

Properties
- polymorph energy (0 for the lowest one) (meV/atom) = 23.3
- total energy (eV/atom) = -16.1582
- E_form (eV/atom) = -0.037
- SG = I4/mmm, No. 139

Geometry as extended XYZ:
```
4
Lattice="-2.196 2.196 4.411 2.196 -2.196 4.411 2.196 2.196 -4.411" Properties=species:S:1:pos:R:3 pbc="T T T"
Mg 0.000 0.000 0.000
Cd 0.000 0.000 4.411
Cd 2.196 0.000 2.206
Cd 0.000 2.196 2.206
```

=====

GdPPd | meta-GGA r2SCAN | relaxed

Properties
- total energy (eV/atom) = -26.4612
- E_form (eV/atom) = -1.341
- SG = P6_3/mmc, No. 194

Geometry as extended XYZ:
```
6
Lattice="2.084 -3.609 0.000 2.084 3.609 0.000 0.000 0.000 7.666" Properties=species:S:1:pos:R:3 pbc="T T T"
Gd 0.000 0.000 3.833
Gd 0.000 0.000 0.000
P 2.084 1.203 5.750
P 2.084 -1.203 1.917
Pd 2.084 1.203 1.917
Pd 2.084 -1.203 5.749
```

=====

CdP2O6 | meta-GGA r2SCAN | relaxed

Properties
- total energy (eV/atom) = -10.4117
- E_form (eV/atom) = -2.196
- SG = Pbca, No. 61

Geometry as extended XYZ:
```
72
Lattice="7.028 0.000 0.000 0.000 9.651 0.000 0.000 0.000 13.688" Properties=species:S:1:pos:R:3 pbc="T T T"
Cd 3.871 9.578 4.023
Cd 0.357 4.899 9.666
Cd 3.157 4.752 2.821
Cd 6.671 0.074 10.867
Cd 3.157 0.074 9.666
Cd 6.671 4.752 4.023
Cd 3.871 4.899 10.867
Cd 0.357 9.578 2.821
P 0.592 2.908 1.328
P 4.106 1.918 12.361
P 6.436 7.733 5.517
P 2.922 6.744 8.172
P 6.436 6.744 12.361
P 2.922 7.733 1.328
P 0.592 1.918 8.172
P 4.106 2.908 5.517
P 4.817 2.034 1.451
P 1.303 2.792 12.238
P 2.211 6.860 5.393
P 5.725 7.617 8.295
P 2.211 7.617 12.238
P 5.725 6.860 1.451
P 4.817 2.792 8.295
P 1.303 2.034 5.393
O 4.626 1.300 0.043
O 1.112 3.525 13.645
O 2.403 6.126 6.801
O 5.917 8.351 6.887
O 2.403 8.351 13.645
O 5.917 6.126 0.043
O 4.626 3.525 6.887
O 1.112 1.300 6.801
O 6.032 3.034 1.204
O 2.518 1.792 12.485
O 0.996 7.859 5.641
O 4.510 6.618 8.048
O 0.996 6.618 12.485
O 4.510 7.859 1.204
O 6.032 1.792 8.048
O 2.518 3.034 5.641
O 0.977 1.482 1.412
O 0.986 3.879 2.401
O 4.491 3.343 12.277
O 2.537 8.169 8.256
O 6.051 8.169 12.277
O 2.537 6.308 1.412
O 0.977 3.343 8.256
O 4.491 1.482 5.432
O 0.112 2.859 5.100
O 3.626 1.967 8.588
O 6.916 7.684 1.744
O 3.402 6.793 11.945
O 6.916 6.793 8.588
O 3.402 7.684 5.100
O 0.112 1.967 11.945
O 3.626 2.859 1.744
O 1.709 0.970 4.417
O 5.223 3.856 9.271
O 5.320 5.795 2.427
O 1.805 8.682 11.261
O 5.320 8.682 9.271
O 1.805 5.795 4.417
O 1.709 3.856 11.261
O 5.223 0.970 2.427
O 4.501 3.879 4.443
O 0.986 0.946 9.245
O 2.528 8.705 2.401
O 6.042 5.772 11.287
O 2.528 5.772 9.245
O 6.042 8.705 4.443
O 4.501 0.946 11.287
O 6.051 6.308 5.432
```

=====

Rb2Cr2O7 | meta-GGA r2SCAN | relaxed

Properties
- polymorph energy (0 for the lowest one) (meV/atom) = 0.0
- total energy (eV/atom) = -11.0846
- E_form (eV/atom) = -2.010
- SG = C2/c, No. 15

Geometry as extended XYZ:
```
22
Lattice="-1.670 1.781 7.256 0.170 -5.357 5.466 7.391 1.517 1.549" Properties=species:S:1:pos:R:3 pbc="T T T"
Rb 6.407 -2.498 5.189
Rb 4.481 -3.847 8.591
Rb -0.515 0.439 9.081
Rb 1.411 1.788 5.680
Cr 5.440 1.096 6.713
Cr 3.519 0.042 8.943
Cr 0.451 -3.155 7.558
Cr 2.373 -2.101 5.327
O 4.682 -0.217 7.631
O 1.210 -1.842 6.639
O 4.272 1.949 5.984
O 4.244 0.909 10.103
O 1.620 -4.008 8.286
O 1.648 -2.968 4.167
O 6.436 0.463 5.611
O 3.055 -1.390 9.527
O 3.637 -2.952 5.880
O 7.053 -2.626 8.092
O 2.255 0.893 8.390
O -1.161 0.567 6.178
O 2.836 -0.669 4.743
O -0.544 -2.522 8.659
```